(1)
DFT (GGA-PBE) results for a geometry-optimized Cs2Cu3SnF12 structure.

Density: 4.23 g cm⁻³
Total magnetization: 3.00 Bohr magnetons per cell
Formation energy from the elements: -43.81 eV per formula unit
Offset from the most stable computed form: 9 meV per atom
Electronic total energy: -4.408 eV per atom
Space-group type: R-3m, No. 166

POSCAR file:
```
Cs2Cu3SnF12
1.0
3.605 2.082 6.996
-3.605 2.082 6.996
0.000 -4.163 6.996
Cs Cu Sn F
2 3 1 12
Cartesian
0.000 0.000 2.234
0.000 0.000 18.754
-1.803 -1.041 6.996
-1.803 1.041 13.993
0.000 2.082 6.996
0.000 0.000 10.494
-1.443 -0.833 9.374
0.000 -1.642 6.676
-1.422 0.821 6.676
-1.422 -0.821 14.313
0.000 -1.667 11.614
-1.443 0.833 11.614
1.443 -0.833 9.374
0.000 1.667 9.374
1.422 0.821 6.676
1.422 -0.821 14.313
0.000 1.642 14.313
1.443 0.833 11.614
```

=====

(2)
DFT (GGA-PBE) results for a geometry-optimized Cd4P2I3 structure.

Density: 5.41 g cm⁻³
Total magnetization: 0.00 Bohr magnetons per cell
Formation energy from the elements: -4.14 eV per formula unit
Electronic total energy: -2.455 eV per atom
Space-group type: Pbca, No. 61

POSCAR file:
```
Cd4P2I3
1.0
12.824 0.000 0.000
0.000 13.220 0.000
0.000 0.000 12.928
Cd P I
32 16 24
Cartesian
0.545 2.829 0.917
0.545 3.781 7.381
1.116 0.804 10.233
1.116 5.806 3.769
1.213 6.839 12.038
1.213 12.990 5.574
2.597 7.814 7.450
2.597 12.015 0.986
3.815 1.204 7.450
3.815 5.406 0.986
5.199 0.229 12.038
5.199 6.381 5.574
5.295 7.414 10.233
5.295 12.416 3.769
5.867 9.439 0.917
5.867 10.391 7.381
6.956 2.829 5.547
6.956 3.781 12.011
7.528 0.804 9.158
7.528 5.806 2.694
7.625 6.839 7.353
7.625 12.990 0.890
9.009 7.814 11.942
9.009 12.015 5.478
10.226 1.204 11.942
10.226 5.406 5.478
11.610 0.229 7.353
11.610 6.381 0.890
11.707 7.414 9.158
11.707 12.416 2.694
12.279 9.439 5.547
12.279 10.391 12.011
0.670 7.225 5.848
0.670 12.604 12.312
1.229 1.364 7.729
1.229 5.246 1.265
5.183 7.974 7.729
5.183 11.855 1.265
5.742 0.615 5.848
5.742 5.994 12.312
7.081 7.225 0.616
7.081 12.604 7.080
7.641 1.364 11.662
7.641 5.246 5.199
11.594 7.974 11.662
11.594 11.855 5.199
12.154 0.615 0.616
12.154 5.994 7.080
0.792 9.824 8.727
0.792 10.005 2.263
2.339 0.971 3.195
2.339 5.639 9.659
3.180 8.974 12.028
3.180 10.856 5.564
3.232 2.364 12.028
3.232 4.246 5.564
4.073 7.581 3.195
4.073 12.249 9.659
5.620 3.214 8.727
5.620 3.396 2.263
7.204 9.824 10.664
7.204 10.005 4.200
8.751 0.971 3.269
8.751 5.639 9.733
9.592 8.974 7.363
9.592 10.856 0.899
9.644 2.364 7.363
9.644 4.246 0.899
10.485 7.581 3.269
10.485 12.249 9.733
12.032 3.214 10.664
12.032 3.396 4.200
```

=====

(3)
DFT (GGA-PBE) results for a geometry-optimized NbCr4Si structure.

Density: 6.95 g cm⁻³
Total magnetization: 0.09 Bohr magnetons per cell
Formation energy from the elements: 0.33 eV per formula unit
Electronic total energy: -8.980 eV per atom
Space-group type: P-3m1, No. 164

POSCAR file:
```
NbCr4Si
1.0
4.872 0.000 0.000
-2.436 4.220 0.000
0.000 0.000 7.649
Nb Cr Si
2 8 2
Cartesian
0.000 2.813 3.309
2.436 1.407 4.340
0.000 0.000 0.000
0.000 0.000 3.824
0.000 1.447 5.827
-1.183 3.496 5.827
1.253 0.723 1.822
1.183 3.496 5.827
3.619 0.723 1.822
2.436 2.773 1.822
0.000 2.813 0.517
2.436 1.407 7.132
```

=====

(4)
DFT (GGA-PBE) results for a geometry-optimized GeSb2Te4 structure.

Density: 6.42 g cm⁻³
Total magnetization: 0.00 Bohr magnetons per cell
Formation energy from the elements: -1.64 eV per formula unit
Electronic total energy: -3.629 eV per atom
Space-group type: R-3m, No. 166

POSCAR file:
```
GeSb2Te4
1.0
2.159 1.247 13.228
-2.159 1.247 13.228
0.000 -2.493 13.228
Ge Sb Te
1 2 4
Cartesian
0.000 0.000 0.000
0.000 0.000 5.579
0.000 0.000 34.105
0.000 0.000 11.549
0.000 0.000 17.077
0.000 0.000 22.607
0.000 0.000 28.135
```